Run a
A plane-wave DFT calculation with PBE with a Hubbard U was carried out for crystalline Li2Cr2H4O9 at its relaxed geometry.

V: 11.33 Å³/atom

a b c (Å): 5.466 5.466 12.973
angles (deg): 94.42 94.42 91.71
Fractional positions:
Li 0.000 0.500 0.500
Li 0.223 0.777 0.750
Li 0.500 0.000 0.000
Li 0.777 0.223 0.250
Cr 0.011 0.739 0.140
Cr 0.261 0.989 0.360
Cr 0.739 0.011 0.640
Cr 0.989 0.261 0.860
H 0.299 0.366 0.650
H 0.366 0.299 0.150
H 0.419 0.579 0.901
H 0.421 0.581 0.599
H 0.579 0.419 0.401
H 0.581 0.421 0.099
H 0.634 0.701 0.850
H 0.701 0.634 0.350
O 0.035 0.965 0.250
O 0.058 0.467 0.181
O 0.192 0.786 0.439
O 0.214 0.808 0.061
O 0.254 0.266 0.417
O 0.266 0.254 0.917
O 0.269 0.532 0.630
O 0.467 0.058 0.681
O 0.468 0.731 0.870
O 0.532 0.269 0.130
O 0.533 0.942 0.319
O 0.731 0.468 0.370
O 0.734 0.746 0.083
O 0.746 0.734 0.583
O 0.786 0.192 0.939
O 0.808 0.214 0.561
O 0.942 0.533 0.819
O 0.965 0.035 0.750

=====

Run b
A plane-wave DFT calculation with PBE with a Hubbard U was carried out for crystalline Li2Cr2H4O9 at its relaxed geometry.

V: 13.93 Å³/atom

a b c (Å): 7.845 7.845 8.956
angles (deg): 92.45 92.45 59.32
Fractional positions:
Li 0.058 0.942 0.500
Li 0.079 0.255 0.251
Li 0.255 0.079 0.751
Li 0.942 0.058 0.000
Cr 0.319 0.647 0.100
Cr 0.432 0.934 0.284
Cr 0.647 0.319 0.600
Cr 0.934 0.432 0.784
H 0.065 0.610 0.527
H 0.225 0.804 0.776
H 0.342 0.710 0.628
H 0.610 0.065 0.027
H 0.710 0.342 0.128
H 0.777 0.857 0.955
H 0.804 0.225 0.276
H 0.857 0.777 0.455
O 0.023 0.233 0.889
O 0.094 0.363 0.649
O 0.158 0.651 0.209
O 0.202 0.818 0.971
O 0.233 0.023 0.389
O 0.256 0.839 0.679
O 0.363 0.094 0.149
O 0.427 0.460 0.527
O 0.460 0.427 0.027
O 0.488 0.700 0.209
O 0.623 0.911 0.377
O 0.651 0.158 0.709
O 0.700 0.488 0.709
O 0.750 0.984 0.004
O 0.818 0.202 0.471
O 0.839 0.256 0.179
O 0.911 0.623 0.877
O 0.984 0.750 0.504

=====

Most stable structure - run a; separation to the second - 0.061 eV/atom.

=====

Run a
A plane-wave DFT calculation with PBE with a Hubbard U was carried out for crystalline Li3Cr2P4HO14 at its relaxed geometry.

V: 12.29 Å³/atom

a b c (Å): 5.195 5.265 12.473
angles (deg): 100.66 90.35 117.80
Fractional positions:
Li 0.000 0.000 0.000
Li 0.206 0.315 0.497
Li 0.794 0.685 0.503
Cr 0.198 0.226 0.263
Cr 0.802 0.774 0.737
P 0.292 0.711 0.126
P 0.467 0.072 0.644
P 0.533 0.928 0.356
P 0.708 0.289 0.874
H 0.500 0.500 0.000
O 0.097 0.407 0.149
O 0.136 0.896 0.128
O 0.162 0.845 0.593
O 0.302 0.033 0.375
O 0.436 0.624 0.386
O 0.439 0.117 0.775
O 0.445 0.701 0.022
O 0.555 0.299 0.978
O 0.561 0.883 0.225
O 0.564 0.376 0.614
O 0.698 0.967 0.625
O 0.838 0.155 0.407
O 0.864 0.104 0.872
O 0.903 0.593 0.851

=====

Run b
A plane-wave DFT calculation with PBE with a Hubbard U was carried out for crystalline Li3Cr2P4HO14 at its relaxed geometry.

V: 12.29 Å³/atom

a b c (Å): 5.195 5.265 12.473
angles (deg): 100.66 90.35 117.80
Fractional positions:
Li 0.000 0.000 0.000
Li 0.206 0.818 0.497
Li 0.794 0.182 0.503
Cr 0.198 0.963 0.263
Cr 0.802 0.037 0.737
P 0.292 0.585 0.126
P 0.467 0.428 0.644
P 0.533 0.572 0.356
P 0.708 0.415 0.874
H 0.500 0.500 0.000
O 0.097 0.257 0.149
O 0.136 0.768 0.128
O 0.162 0.252 0.593
O 0.302 0.658 0.375
O 0.436 0.238 0.386
O 0.439 0.342 0.775
O 0.445 0.679 0.022
O 0.555 0.321 0.978
O 0.561 0.658 0.225
O 0.564 0.762 0.614
O 0.698 0.342 0.625
O 0.838 0.748 0.407
O 0.864 0.232 0.872
O 0.903 0.743 0.851

=====

Most stable structure - run a; separation to the second - 0.605 eV/atom.

=====

Run a
A plane-wave DFT calculation with PBE with a Hubbard U was carried out for crystalline Li4CrP6H8O22 at its relaxed geometry.

V: 11.42 Å³/atom

a b c (Å): 8.159 15.380 7.485
angles (deg): 90.00 94.17 90.00
Fractional positions:
Li 0.110 0.113 0.141
Li 0.110 0.387 0.641
Li 0.342 0.724 0.467
Li 0.342 0.776 0.967
Li 0.658 0.224 0.033
Li 0.658 0.276 0.533
Li 0.890 0.613 0.359
Li 0.890 0.887 0.859
Cr 0.500 0.000 0.000
Cr 0.500 0.500 0.500
P 0.027 0.678 0.740
P 0.027 0.822 0.240
P 0.192 0.063 0.564
P 0.192 0.437 0.064
P 0.319 0.183 0.836
P 0.319 0.317 0.336
P 0.681 0.683 0.664
P 0.681 0.817 0.164
P 0.808 0.563 0.936
P 0.808 0.937 0.436
P 0.973 0.178 0.760
P 0.973 0.322 0.260
H 0.248 0.579 0.629
H 0.248 0.921 0.129
H 0.310 0.509 0.771
H 0.310 0.991 0.271
H 0.324 0.586 0.250
H 0.324 0.914 0.750
H 0.490 0.645 0.268
H 0.490 0.855 0.768
H 0.510 0.145 0.232
H 0.510 0.355 0.732
H 0.676 0.086 0.250
H 0.676 0.414 0.750
H 0.690 0.009 0.729
H 0.690 0.491 0.229
H 0.752 0.079 0.871
H 0.752 0.421 0.371
O 0.023 0.113 0.604
O 0.023 0.387 0.104
O 0.059 0.627 0.573
O 0.059 0.873 0.073
O 0.143 0.235 0.795
O 0.143 0.265 0.295
O 0.160 0.736 0.816
O 0.160 0.764 0.316
O 0.202 0.522 0.157
O 0.202 0.978 0.657
O 0.205 0.065 0.364
O 0.205 0.435 0.864
O 0.294 0.119 0.984
O 0.294 0.381 0.484
O 0.330 0.131 0.649
O 0.330 0.369 0.149
O 0.351 0.551 0.682
O 0.351 0.949 0.182
O 0.411 0.613 0.337
O 0.411 0.887 0.837
O 0.458 0.246 0.856
O 0.458 0.254 0.356
O 0.542 0.746 0.644
O 0.542 0.754 0.144
O 0.589 0.113 0.163
O 0.589 0.387 0.663
O 0.649 0.051 0.818
O 0.649 0.449 0.318
O 0.670 0.631 0.851
O 0.670 0.869 0.351
O 0.706 0.619 0.516
O 0.706 0.881 0.016
O 0.795 0.565 0.136
O 0.795 0.935 0.636
O 0.798 0.022 0.343
O 0.798 0.478 0.843
O 0.840 0.236 0.684
O 0.840 0.264 0.184
O 0.857 0.735 0.705
O 0.857 0.765 0.205
O 0.941 0.127 0.927
O 0.941 0.373 0.427
O 0.977 0.613 0.896
O 0.977 0.887 0.396

=====

Run b
A plane-wave DFT calculation with PBE with a Hubbard U was carried out for crystalline Li4CrP6H8O22 at its relaxed geometry.

V: 10.68 Å³/atom

a b c (Å): 7.047 7.569 8.472
angles (deg): 85.45 77.35 84.11
Fractional positions:
Li 0.071 0.350 0.082
Li 0.325 0.438 0.733
Li 0.675 0.562 0.267
Li 0.929 0.650 0.918
Cr 0.000 0.000 0.500
P 0.220 0.022 0.805
P 0.339 0.708 0.995
P 0.446 0.219 0.332
P 0.554 0.781 0.668
P 0.661 0.292 0.005
P 0.780 0.978 0.195
H 0.031 0.390 0.381
H 0.031 0.587 0.314
H 0.256 0.763 0.312
H 0.272 0.732 0.495
H 0.728 0.268 0.505
H 0.744 0.237 0.688
H 0.969 0.413 0.686
H 0.969 0.610 0.619
O 0.021 0.525 0.697
O 0.070 0.942 0.737
O 0.177 0.774 0.425
O 0.196 0.214 0.839
O 0.208 0.581 0.952
O 0.237 0.194 0.405
O 0.242 0.910 0.973
O 0.395 0.684 0.155
O 0.435 0.977 0.689
O 0.448 0.659 0.594
O 0.459 0.287 0.142
O 0.541 0.713 0.858
O 0.552 0.341 0.406
O 0.565 0.023 0.311
O 0.605 0.316 0.845
O 0.758 0.090 0.027
O 0.763 0.806 0.595
O 0.792 0.419 0.048
O 0.804 0.786 0.161
O 0.823 0.226 0.575
O 0.930 0.058 0.263
O 0.979 0.475 0.303

=====

Most stable structure - run b; separation to the second - 0.019 eV/atom.

=====

Run a
A plane-wave DFT calculation with PBE with a Hubbard U was carried out for crystalline LiVCrP2H2O10 at its relaxed geometry.

V: 10.48 Å³/atom

a b c (Å): 5.208 7.368 10.471
angles (deg): 104.87 96.63 109.77
Fractional positions:
Li 0.076 0.148 0.292
Li 0.924 0.852 0.708
V 0.000 0.500 0.000
V 0.500 0.000 0.500
Cr 0.000 0.000 0.000
Cr 0.500 0.500 0.500
P 0.001 0.454 0.677
P 0.497 0.946 0.175
P 0.503 0.054 0.825
P 0.999 0.546 0.323
H 0.177 0.185 0.532
H 0.336 0.324 0.987
H 0.664 0.676 0.013
H 0.823 0.815 0.468
O 0.100 0.480 0.828
O 0.138 0.782 0.404
O 0.156 0.296 0.015
O 0.211 0.445 0.337
O 0.243 0.945 0.874
O 0.253 0.549 0.621
O 0.276 0.040 0.166
O 0.323 0.196 0.478
O 0.377 0.715 0.094
O 0.383 0.018 0.672
O 0.617 0.982 0.328
O 0.623 0.285 0.906
O 0.677 0.804 0.522
O 0.724 0.960 0.834
O 0.747 0.451 0.379
O 0.757 0.055 0.126
O 0.789 0.555 0.663
O 0.844 0.704 0.985
O 0.862 0.218 0.596
O 0.900 0.520 0.172

=====

Run b
A plane-wave DFT calculation with PBE with a Hubbard U was carried out for crystalline LiVCrP2H2O10 at its relaxed geometry.

V: 10.61 Å³/atom

a b c (Å): 5.256 5.319 13.061
angles (deg): 87.99 91.91 98.48
Fractional positions:
P 0.562 0.230 0.116
P 0.945 0.268 0.386
P 0.062 0.730 0.616
P 0.445 0.768 0.886
O 0.820 0.255 0.062
O 0.693 0.233 0.446
O 0.828 0.720 0.541
O 0.510 0.303 0.639
O 0.471 0.013 0.815
O 0.005 0.180 0.862
O 0.056 0.974 0.678
O 0.505 0.679 0.362
O 0.443 0.533 0.818
O 0.328 0.220 0.041
O 0.023 0.486 0.687
O 0.176 0.280 0.461
O 0.523 0.986 0.187
O 0.193 0.733 0.946
O 0.010 0.803 0.139
O 0.943 0.032 0.318
O 0.320 0.755 0.562
O 0.676 0.780 0.961
O 0.556 0.474 0.178
O 0.971 0.513 0.315
Cr 0.001 0.993 0.999
Cr 0.501 0.493 0.500
Li 0.128 0.507 0.067
Li 0.628 0.007 0.567
H 0.679 0.371 0.671
H 0.824 0.169 0.837
H 0.179 0.871 0.171
H 0.324 0.669 0.337
V 0.749 0.750 0.253
V 0.249 0.251 0.753

=====

Most stable structure - run b; separation to the second - 0.005 eV/atom.